Below is a relaxed structure of Na2HgSbF6, with properties calculated at the PBE-GGA level.

formation energy	-51.8	kcal/mol of atoms
magnetic moment	0.0	μB per formula unit

Cell lengths 9.472, 9.472, 9.472 Å; angles 90.00, 90.00, 90.00 degrees
Space group Fm-3m (No. 225)
Inequivalent atoms, fractional coordinates:
1 Na 0.250 0.250 0.250 x8
2 Hg 0.000 0.000 0.000 x4
3 Sb 0.000 0.000 0.500 x4
4 F 0.000 0.000 0.277 x24